This record from the Materials Project database describes crystalline CaZn11 at its relaxed geometry. The functional is r²SCAN.

Summary:
Formation energy from the elements = -0.190 eV/atom
Calculated volume = 372.5 Å³ per cell

Cell lengths 6.7371, 8.1574, 8.1574 Å; angles 80.38, 65.71, 65.71 degrees
Fractional positions:
Ca  0.3751  0.2499  0.7499
Ca  0.6249  0.7501  0.2501
Zn  0.2774  0.9222  0.6657
Zn  0.4427  0.8341  0.9222
Zn  0.1994  0.6657  0.5780
Zn  0.8645  0.5779  0.8343
Zn  0.8006  0.9220  0.8343
Zn  0.5573  0.5778  0.6659
Zn  0.7226  0.8343  0.5778
Zn  0.1355  0.6657  0.9221
Zn  0.7226  0.0778  0.3343
Zn  0.5573  0.1659  0.0778
Zn  0.8006  0.3343  0.4220
Zn  0.1355  0.4221  0.1657
Zn  0.1994  0.0780  0.1657
Zn  0.4427  0.4222  0.3341
Zn  0.2774  0.1657  0.4222
Zn  0.8645  0.3343  0.0779
Zn  0.0000  0.0000  0.0000
Zn  0.5000  0.5000  0.0000
Zn  0.0000  0.0000  0.5000
Zn  0.0000  0.5000  0.5000
Zn  0.1251  0.7494  0.2494
Zn  0.8749  0.2506  0.7506

This record from the Materials Project database describes crystalline CaZn3 at its relaxed geometry. The functional is r²SCAN.

Summary:
Formation energy from the elements = -0.191 eV/atom
Calculated volume = 158.1 Å³ per cell

Cell lengths 6.4881, 6.4881, 4.3379 Å; angles 90.00, 90.00, 120.00 degrees
Fractional positions:
Ca  0.6667  0.3333  0.2500
Ca  0.3333  0.6667  0.7500
Zn  0.1383  0.2766  0.2500
Zn  0.7234  0.8617  0.2500
Zn  0.1383  0.8617  0.2500
Zn  0.2766  0.1383  0.7500
Zn  0.8617  0.1383  0.7500
Zn  0.8617  0.7234  0.7500

This record from the Materials Project database describes crystalline Cd at its relaxed geometry. The functional is r²SCAN.

Summary:
Relative energy among the computed polymorphs = 37 meV/atom
Formation energy from the elements = 0.037 eV/atom
Calculated volume = 21.8 Å³ per cell

Cell lengths 3.1369, 3.1369, 3.1369 Å; angles 60.00, 60.00, 60.00 degrees
Fractional positions:
Cd  0.0000  0.0000  0.0000

This record from the Materials Project database describes crystalline Cd at its relaxed geometry. The functional is r²SCAN.

Summary:
Relative energy among the computed polymorphs = 0 meV/atom
Formation energy from the elements = 0.000 eV/atom
Calculated volume = 44.6 Å³ per cell

Cell lengths 2.9585, 2.9585, 5.8859 Å; angles 90.00, 90.00, 120.00 degrees
Fractional positions:
Cd  0.3333  0.6667  0.2500
Cd  0.6667  0.3333  0.7500

This record from the Materials Project database describes crystalline Cd at its relaxed geometry. The functional is r²SCAN.

Summary:
Relative energy among the computed polymorphs = 24 meV/atom
Formation energy from the elements = 0.024 eV/atom
Calculated volume = 21.9 Å³ per cell

Cell lengths 3.0735, 3.0735, 3.0735 Å; angles 63.09, 116.91, 116.91 degrees
Fractional positions:
Cd  0.0000  0.0000  0.0000

This record from the Materials Project database describes crystalline Cd at its relaxed geometry. The functional is r²SCAN.

Summary:
Relative energy among the computed polymorphs = 22 meV/atom
Formation energy from the elements = 0.022 eV/atom
Calculated volume = 86.4 Å³ per cell

Cell lengths 3.0931, 3.0931, 10.4307 Å; angles 90.00, 90.00, 120.00 degrees
Fractional positions:
Cd  0.0000  0.0000  0.0000
Cd  0.3333  0.6667  0.2500
Cd  0.0000  0.0000  0.5000
Cd  0.6667  0.3333  0.7500

This record from the Materials Project database describes crystalline CeCd2 at its relaxed geometry. The functional is r²SCAN.

Summary:
Formation energy from the elements = -0.332 eV/atom
Calculated volume = 74.0 Å³ per cell

Cell lengths 5.1615, 5.1615, 3.2066 Å; angles 90.00, 90.00, 120.00 degrees
Fractional positions:
Ce  0.0000  0.0000  0.0000
Cd  0.3333  0.6667  0.5003
Cd  0.6667  0.3333  0.4997

This record from the Materials Project database describes crystalline CeCd11 at its relaxed geometry. The functional is r²SCAN.

Summary:
Formation energy from the elements = -0.179 eV/atom
Calculated volume = 821.3 Å³ per cell

Cell lengths 9.3684, 9.3635, 9.3630 Å; angles 89.98, 89.99, 89.98 degrees
Fractional positions:
Ce  0.5000  0.0000  0.0000
Ce  0.0000  0.0000  0.5000
Ce  0.0000  0.5000  0.0000
Cd  0.0001  0.3451  0.3452
Cd  0.2662  0.2662  0.5000
Cd  0.1574  0.1574  0.8426
Cd  0.8425  0.1575  0.8426
Cd  0.5000  0.2666  0.2666
Cd  0.6548  0.6547  0.0000
Cd  0.3452  0.3453  0.0000
Cd  0.3452  0.6547  0.0000
Cd  0.0001  0.3451  0.6548
Cd  0.8425  0.8426  0.8425
Cd  0.6548  0.3453  0.0000
Cd  0.6548  0.0000  0.6548
Cd  0.6549  0.0000  0.3453
Cd  0.7340  0.2661  0.4999
Cd  0.2662  0.5000  0.7337
Cd  0.9999  0.6549  0.6548
Cd  0.3452  0.0000  0.3452
Cd  0.1575  0.8425  0.1574
Cd  0.5000  0.7334  0.7334
Cd  0.5000  0.5000  0.5000
Cd  0.8426  0.8426  0.1574
Cd  0.5000  0.7334  0.2665
Cd  0.9999  0.6549  0.3452
Cd  0.7338  0.5000  0.7337
Cd  0.2662  0.5000  0.2663
Cd  0.5000  0.2666  0.7335
Cd  0.8427  0.1574  0.1576
Cd  0.1573  0.8426  0.8424
Cd  0.2660  0.7339  0.5001
Cd  0.3451  0.0000  0.6547
Cd  0.7338  0.7338  0.5000
Cd  0.7338  0.5000  0.2663
Cd  0.1575  0.1574  0.1575